Arrangement i

The following is a PBE with a Hubbard U calculation of a relaxed structure of ZnNiBiO5, from Materials Project.

Calculated values
* total magnetic moment: 0.3750 μB per atom
* crystal system: monoclinic
* calculated density: 6.23 g cm⁻³

abc: 5.3620 10.4585 8.3685
angles: 90.00 110.28 90.00
With the nearest neighbours (Å) after each atom.
Space group P2_1/c (No. 14)
Asymmetric unit:
Zn (0.0303, 0.0913, 0.1728) (multiplicity 4)  5 O 1.99-2.23
Ni (0.3715, 0.6148, 0.0569) (multiplicity 4)  4 O 1.86-1.93
Bi (0.4766, 0.1040, 0.8427) (multiplicity 4)  6 O 2.13-2.20
O (0.1937, 0.5312, 0.1816) (multiplicity 4)  1 Ni 1.86
O (0.2071, 0.7197, 0.4934) (multiplicity 4)  1 Ni 1.93, 1 Zn 2.03, 1 Bi 2.15
O (0.2532, 0.0443, 0.0051) (multiplicity 4)  2 Bi 2.19-2.20, 2 Zn 2.19-2.23
O (0.3206, 0.2071, 0.3104) (multiplicity 4)  1 Ni 1.90, 1 Zn 1.99, 1 Bi 2.13
O (0.3463, 0.5443, 0.8423) (multiplicity 4)  1 Ni 1.90

Arrangement ii

The following is a PBE with a Hubbard U calculation of a relaxed structure of ZnNiBiO5, from Materials Project.

Calculated values
* total magnetic moment: 0.3763 μB per atom
* crystal system: orthorhombic
* calculated density: 6.59 g cm⁻³

abc: 5.2526 15.2389 10.4109
angles: 90.00 90.00 90.00
With the nearest neighbours (Å) after each atom.
Space group Pbca (No. 61)
Asymmetric unit:
Zn (0.0268, 0.0366, 0.1368) (multiplicity 8)  5 O 1.99-2.04
Ni (0.0332, 0.5922, 0.8794) (multiplicity 8)  4 O 1.84-2.01
Bi (0.0474, 0.7354, 0.1440) (multiplicity 8)  6 O 2.15-2.38
O (0.1309, 0.1569, 0.2005) (multiplicity 8)  1 Zn 2.03, 2 Bi 2.15-2.22
O (0.1642, 0.0186, 0.7193) (multiplicity 8)  1 Ni 1.84, 2 Zn 1.99-2.02
O (0.1771, 0.1765, 0.5160) (multiplicity 8)  1 Ni 2.01, 1 Bi 2.23
O (0.2198, 0.6861, 0.7992) (multiplicity 8)  1 Ni 1.93
O (0.2238, 0.0331, 0.9732) (multiplicity 8)  1 Ni 1.84, 2 Zn 1.99-2.04

Taking the most stable structure as the zero point, the relative energies in meV/atom are arrangement i 0; arrangement ii 95.

Arrangement i

The following is a PBE with a Hubbard U calculation of a relaxed structure of V2Bi4O11, from Materials Project.

Calculated values
* total magnetic moment: 0.0000 μB per atom
* crystal system: triclinic
* calculated density: 7.34 g cm⁻³

abc: 5.8158 8.0884 17.0433
angles: 91.09 90.39 109.52
With the nearest neighbours (Å) after each atom.
Space group P1 (No. 1)
Asymmetric unit:
V (0.0000, 0.0000, 0.0000) (multiplicity 1)  4 O 1.72-1.92
V (0.0209, 0.0077, 0.3012) (multiplicity 1)  4 O 1.70-1.79
V (0.1321, 0.9692, 0.6311) (multiplicity 1)  3 O 1.68-1.83
V (0.4521, 0.9744, 0.4982) (multiplicity 1)  4 O 1.71-1.82
V (0.6302, 0.9852, 0.8305) (multiplicity 1)  4 O 1.70-1.79
V (0.6614, 0.0019, 0.1315) (multiplicity 1)  3 O 1.71-1.91
Bi (0.2074, 0.3166, 0.4760) (multiplicity 1)  5 O 2.30-2.48
Bi (0.2962, 0.3350, 0.1468) (multiplicity 1)  6 O 2.31-2.50
Bi (0.3100, 0.3534, 0.8232) (multiplicity 1)  2 O 2.17-2.28
Bi (0.3483, 0.6383, 0.3195) (multiplicity 1)  3 O 2.20-2.32
Bi (0.3689, 0.6690, 0.9915) (multiplicity 1)  6 O 2.32-2.48
Bi (0.4755, 0.6621, 0.6557) (multiplicity 1)  4 O 2.19-2.40
Bi (0.6899, 0.3136, 0.3140) (multiplicity 1)  5 O 2.25-2.50
Bi (0.7308, 0.3530, 0.9838) (multiplicity 1)  4 O 2.26-2.38
Bi (0.7937, 0.3370, 0.6550) (multiplicity 1)  3 O 2.19-2.43
Bi (0.8375, 0.6241, 0.4907) (multiplicity 1)  6 O 2.27-2.53
Bi (0.9330, 0.6475, 0.1553) (multiplicity 1)  4 O 2.27-2.36
Bi (0.9794, 0.6804, 0.8224) (multiplicity 1)  3 O 2.27-2.32
O (0.0311, 0.4717, 0.5603) (multiplicity 1)  3 Bi 2.19-2.35
O (0.0492, 0.4816, 0.3970) (multiplicity 1)  3 Bi 2.24-2.49
O (0.0509, 0.1529, 0.6223) (multiplicity 1)  1 V 1.71
O (0.0540, 0.8018, 0.3045) (multiplicity 1)  1 V 1.74
O (0.0549, 0.8047, 0.9925) (multiplicity 1)  1 V 1.72
O (0.0631, 0.4847, 0.0674) (multiplicity 1)  4 Bi 2.27-2.50
O (0.0710, 0.4918, 0.9036) (multiplicity 1)  4 Bi 2.27-2.46
O (0.0874, 0.4785, 0.2306) (multiplicity 1)  3 Bi 2.20-2.40
O (0.1195, 0.5150, 0.7388) (multiplicity 1)  4 Bi 2.27-2.48
O (0.1366, 0.9118, 0.5032) (multiplicity 1)  1 V 1.74
O (0.1885, 0.9451, 0.7263) (multiplicity 1)  1 V 1.68
O (0.2441, 0.1898, 0.9909) (multiplicity 1)  1 V 1.72
O (0.2856, 0.1656, 0.2676) (multiplicity 1)  1 V 1.75
O (0.3748, 0.8229, 0.8676) (multiplicity 1)  1 V 1.75
O (0.4100, 0.8155, 0.1368) (multiplicity 1)  1 V 1.72
O (0.4818, 0.0410, 0.6013) (multiplicity 1)  2 V 1.82-1.99
O (0.5111, 0.4621, 0.3915) (multiplicity 1)  3 Bi 2.25-2.32
O (0.5285, 0.7909, 0.4766) (multiplicity 1)  1 V 1.72
O (0.5428, 0.4511, 0.5720) (multiplicity 1)  4 Bi 2.31-2.48
O (0.5449, 0.1484, 0.4365) (multiplicity 1)  1 V 1.71
O (0.5821, 0.5214, 0.9044) (multiplicity 1)  2 Bi 2.17-2.30
O (0.5953, 0.5060, 0.2324) (multiplicity 1)  4 Bi 2.30-2.53
O (0.5989, 0.5183, 0.0687) (multiplicity 1)  4 Bi 2.26-2.48
O (0.6027, 0.5064, 0.7384) (multiplicity 1)  2 Bi 2.19-2.28
O (0.6047, 0.1946, 0.8305) (multiplicity 1)  1 V 1.75
O (0.6129, 0.1994, 0.1378) (multiplicity 1)  1 V 1.71
O (0.6720, 0.9929, 0.0194) (multiplicity 1)  2 V 1.91-1.92
O (0.6775, 0.9093, 0.7404) (multiplicity 1)  1 V 1.70
O (0.7631, 0.9998, 0.2411) (multiplicity 1)  2 V 1.79-1.96
O (0.8743, 0.7665, 0.6162) (multiplicity 1)  1 V 1.83
O (0.8904, 0.9927, 0.8888) (multiplicity 1)  2 V 1.79-1.99
O (0.9647, 0.0831, 0.3902) (multiplicity 1)  1 V 1.70
O (0.9900, 0.0086, 0.1114) (multiplicity 1)  2 V 1.90-1.93

Arrangement ii

The following is a PBE with a Hubbard U calculation of a relaxed structure of V2Bi4O11, from Materials Project.

Calculated values
* total magnetic moment: 0.0001 μB per atom
* crystal system: triclinic
* calculated density: 6.90 g cm⁻³

abc: 5.9674 6.0335 8.1304
angles: 68.24 86.51 80.35
With the nearest neighbours (Å) after each atom.
Space group P1 (No. 1)
Asymmetric unit:
V (0.0000, 0.0000, 0.0000) (multiplicity 1)  4 O 1.65-1.82
V (0.4401, 0.5635, 0.9994) (multiplicity 1)  4 O 1.65-1.83
Bi (0.4607, 0.8227, 0.3418) (multiplicity 1)  3 O 2.18-2.41
Bi (0.4644, 0.1634, 0.6587) (multiplicity 1)  4 O 2.19-2.44
Bi (0.9580, 0.6543, 0.6549) (multiplicity 1)  4 O 2.16-2.40
Bi (0.9587, 0.3103, 0.3452) (multiplicity 1)  4 O 2.16-2.40
O (0.0646, 0.0318, 0.1975) (multiplicity 1)  1 V 1.76
O (0.0658, 0.2289, 0.8035) (multiplicity 1)  1 V 1.76
O (0.1467, 0.7098, 0.0011) (multiplicity 1)  2 V 1.82-1.83
O (0.2467, 0.5520, 0.4863) (multiplicity 1)  3 Bi 2.18-2.43
O (0.2497, 0.0389, 0.5126) (multiplicity 1)  3 Bi 2.19-2.41
O (0.4124, 0.2971, 0.9986) (multiplicity 1)  1 V 1.65
O (0.5709, 0.7260, 0.8011) (multiplicity 1)  1 V 1.76
O (0.5732, 0.5264, 0.1971) (multiplicity 1)  1 V 1.76
O (0.7280, 0.9779, 0.9985) (multiplicity 1)  1 V 1.65
O (0.7458, 0.5327, 0.5105) (multiplicity 1)  3 Bi 2.16-2.40
O (0.7481, 0.0435, 0.4905) (multiplicity 1)  3 Bi 2.16-2.40

Taking the most stable structure as the zero point, the relative energies in meV/atom are arrangement i 0; arrangement ii 28.

Arrangement i

The following is a PBE with a Hubbard U calculation of a relaxed structure of VBiO5, from Materials Project.

Calculated values
* total magnetic moment: 0.1431 μB per atom
* crystal system: monoclinic
* calculated density: 4.61 g cm⁻³

abc: 5.4689 10.7012 8.8387
angles: 90.00 108.76 90.00
With the nearest neighbours (Å) after each atom.
Space group P2_1/c (No. 14)
Asymmetric unit:
V (0.1654, 0.1495, 0.4471) (multiplicity 4)  4 O 1.70-1.78
Bi (0.0025, 0.5913, 0.6749) (multiplicity 4)  6 O 2.16-2.36
O (0.1353, 0.7130, 0.1712) (multiplicity 4)  1 V 1.78
O (0.1686, 0.0922, 0.6365) (multiplicity 4)  1 V 1.78
O (0.1862, 0.5547, 0.4905) (multiplicity 4)  2 Bi 2.16-2.21, 1 O 2.40
O (0.2758, 0.0345, 0.3398) (multiplicity 4)  1 V 1.77
O (0.3480, 0.2189, 0.9678) (multiplicity 4)  1 V 1.70

Arrangement ii

The following is a PBE with a Hubbard U calculation of a relaxed structure of VBiO5, from Materials Project.

Calculated values
* total magnetic moment: 0.0702 μB per atom
* crystal system: orthorhombic
* calculated density: 4.20 g cm⁻³

abc: 6.0132 15.4456 11.5749
angles: 90.00 90.00 90.00
With the nearest neighbours (Å) after each atom.
Space group Pbca (No. 61)
Asymmetric unit:
V (0.0220, 0.1141, 0.1004) (multiplicity 8)  2 O 1.65-1.66
Bi (0.0791, 0.7085, 0.6783) (multiplicity 8)  5 O 2.08-2.29
O (0.1178, 0.5378, 0.3297) (multiplicity 8)  1 V 1.66
O (0.1212, 0.2019, 0.2036) (multiplicity 8)  1 V 1.90
O (0.1603, 0.6657, 0.5088) (multiplicity 8)  1 V 1.85
O (0.2328, 0.1443, 0.8022) (multiplicity 8)  2 Bi 2.08-2.13
O (0.2495, 0.0708, 0.0465) (multiplicity 8)  1 V 1.65

Taking the most stable structure as the zero point, the relative energies in meV/atom are arrangement i 0; arrangement ii 63.